No. 1
# PBE AgCSN, relaxed
# - Energy of formation from the pure elements: 0.027 eV per atom
data_AgCSN
_symmetry_space_group_name_H-M 'C 1 2/c 1'
_symmetry_Int_Tables_number 15
_symmetry_space_group_name_Hall '-C 2yc'
_cell_length_a 9.242
_cell_length_b 8.423
_cell_length_c 8.497
_cell_angle_alpha 90.00
_cell_angle_beta 99.68
_cell_angle_gamma 90.00
loop_
_atom_site_label
_atom_site_type_symbol
_atom_site_fract_x
_atom_site_fract_y
_atom_site_fract_z
Ag1 Ag 0.086 0.149 0.106
C1 C 0.146 0.388 0.612
S1 S 0.235 0.019 0.800
N1 N 0.058 0.298 0.547

***

No. 2
# PBE K2GaAgF6, relaxed
# - Energy of formation from the pure elements: -2.689 eV per atom
data_K2GaAgF6
_symmetry_space_group_name_H-M 'F m -3 m'
_symmetry_Int_Tables_number 225
_symmetry_space_group_name_Hall '-F 4 2 3'
_cell_length_a 8.684
_cell_length_b 8.684
_cell_length_c 8.684
_cell_angle_alpha 90.00
_cell_angle_beta 90.00
_cell_angle_gamma 90.00
loop_
_atom_site_label
_atom_site_type_symbol
_atom_site_fract_x
_atom_site_fract_y
_atom_site_fract_z
K1 K 0.250 0.250 0.250
Ga1 Ga 0.000 0.000 0.000
Ag1 Ag 0.000 0.000 0.500
F1 F 0.000 0.000 0.222

***

No. 3
# PBE Pu3Zn22, relaxed
# - Energy of formation from the pure elements: -0.165 eV per atom
data_Pu3Zn22
_symmetry_space_group_name_H-M 'I 41/a m d'
_symmetry_Int_Tables_number 141
_cell_length_a 8.868
_cell_length_b 8.868
_cell_length_c 21.208
_cell_angle_alpha 90.00
_cell_angle_beta 90.00
_cell_angle_gamma 90.00
loop_
_symmetry_equiv_pos_as_xyz
'x,y,z'
'-x,-y,-z'
'-y+1/4,x+3/4,z+1/4'
'y+1/4,-x+3/4,-z+1/4'
'-x+1/2,-y,z+1/2'
'x+1/2,y,-z+1/2'
'y+1/4,-x+1/4,z+3/4'
'-y+1/4,x+1/4,-z+3/4'
'x,-y,-z'
'-x,y,z'
'-y+1/4,-x+1/4,-z+3/4'
'y+1/4,x+1/4,z+3/4'
'-x+1/2,y,-z+1/2'
'x+1/2,-y,z+1/2'
'y+1/4,x+3/4,-z+1/4'
'-y+1/4,-x+3/4,z+1/4'
'x+1/2,y+1/2,z+1/2'
'-x+1/2,-y+1/2,-z+1/2'
'-y+3/4,x+1/4,z+3/4'
'y+3/4,-x+1/4,-z+3/4'
'-x,-y+1/2,z'
'x,y+1/2,-z'
'y+3/4,-x+3/4,z+1/4'
'-y+3/4,x+3/4,-z+1/4'
'x+1/2,-y+1/2,-z+1/2'
'-x+1/2,y+1/2,z+1/2'
'-y+3/4,-x+3/4,-z+1/4'
'y+3/4,x+3/4,z+1/4'
'-x,y+1/2,-z'
'x,-y+1/2,z'
'y+3/4,x+1/4,-z+3/4'
'-y+3/4,-x+1/4,z+3/4'
loop_
_atom_site_label
_atom_site_type_symbol
_atom_site_fract_x
_atom_site_fract_y
_atom_site_fract_z
Pu1 Pu 0.000 0.250 0.253
Pu2 Pu 0.000 0.250 0.875
Zn1 Zn 0.000 0.000 0.000
Zn2 Zn 0.000 0.031 0.376
Zn3 Zn 0.000 0.096 0.739
Zn4 Zn 0.000 0.100 0.118
Zn5 Zn 0.230 0.009 0.189

***

No. 4
# PBE LaZnCo2, relaxed
# - Energy of formation from the pure elements: -0.116 eV per atom
data_LaZnCo2
_symmetry_space_group_name_H-M 'P 63/m m c'
_symmetry_Int_Tables_number 194
_symmetry_space_group_name_Hall '-P 6c 2c'
_cell_length_a 5.2005
_cell_length_b 5.2005
_cell_length_c 16.6710
_cell_angle_alpha 90.00
_cell_angle_beta 90.00
_cell_angle_gamma 120.00
loop_
_atom_site_label
_atom_site_type_symbol
_atom_site_fract_x
_atom_site_fract_y
_atom_site_fract_z
La1 La 0.3333 0.6667 0.0466
La2 La 0.3333 0.6667 0.2500
Zn1 Zn 0.0000 0.0000 0.0000
Zn2 Zn 0.0000 0.0000 0.2500
Zn3 Zn 0.3333 0.6667 0.7500
Co1 Co 0.1665 0.3331 0.6279

***

No. 5
# PBE Ho2Mn3Co14, relaxed
# - Energy of formation from the pure elements: -0.060 eV per atom
data_Ho2Mn3Co14
_symmetry_space_group_name_H-M 'P 63/m m c'
_symmetry_Int_Tables_number 194
_symmetry_space_group_name_Hall '-P 6c 2c'
_cell_length_a 8.3044
_cell_length_b 8.3044
_cell_length_c 8.1735
_cell_angle_alpha 90.00
_cell_angle_beta 90.00
_cell_angle_gamma 120.00
loop_
_atom_site_label
_atom_site_type_symbol
_atom_site_fract_x
_atom_site_fract_y
_atom_site_fract_z
Ho1 Ho 0.0000 0.0000 0.2500
Ho2 Ho 0.3333 0.6667 0.2500
Mn1 Mn 0.0000 0.5000 0.0000
Co1 Co 0.0431 0.3714 0.7500
Co2 Co 0.1632 0.3264 0.0129
Co3 Co 0.3333 0.6667 0.6095

***

No. 6
# PBE Nb2CrSe4, relaxed
# - Energy of formation from the pure elements: -0.838 eV per atom
data_Nb2CrSe4
_symmetry_space_group_name_H-M 'P 63/m m c'
_symmetry_Int_Tables_number 194
_symmetry_space_group_name_Hall '-P 6c 2c'
_cell_length_a 7.2150
_cell_length_b 7.2150
_cell_length_c 12.4824
_cell_angle_alpha 90.00
_cell_angle_beta 90.00
_cell_angle_gamma 120.00
loop_
_atom_site_label
_atom_site_type_symbol
_atom_site_fract_x
_atom_site_fract_y
_atom_site_fract_z
Nb1 Nb 0.0000 0.0000 0.2500
Nb2 Nb 0.0552 0.5276 0.2500
Cr1 Cr 0.0000 0.0000 0.0000
Cr2 Cr 0.3333 0.6667 0.7500
Se1 Se 0.1656 0.3311 0.6212
Se2 Se 0.3333 0.6667 0.0962